Entry 1:
LuCoGe2: relaxed, GGA-PBE.

Its total energy is -92.43 eV/cell.

The space group is Cmcm (No. 63) and the conventional cell measures 4.066, 16.693 and 4.119 Å, with angles of 90.00, 90.00 and 90.00 degrees. Symmetry generates all atoms from Lu at (0.000, 0.110, 0.250), Co at (0.000, 0.322, 0.250), Ge at (0.000, 0.251, 0.750) and Ge at (0.000, 0.456, 0.250).



Entry 2:
Ti3H2O7: relaxed, GGA-PBE.

Its total energy is -379.13 eV/cell. The energy above the most stable polymorph in this dataset comes out at 0.036 eV/atom. As for the magnetic moment: 0.02 μB per formula unit.

The space group is C2/m (No. 12) and the conventional cell measures 16.740, 3.778 and 9.507 Å, with angles of 90.00, 100.28 and 90.00 degrees. Symmetry generates all atoms from Ti at (0.127, 0.000, 0.340), Ti at (0.177, 0.000, 0.007), Ti at (0.231, 0.000, 0.711), H at (0.028, 0.000, 0.095), H at (0.037, 0.000, 0.694), O at (0.022, 0.000, 0.345), O at (0.087, 0.000, 0.106), O at (0.139, 0.000, 0.820), O at (0.155, 0.500, 0.325), O at (0.175, 0.000, 0.537), O at (0.208, 0.500, 0.040) and O at (0.239, 0.000, 0.248).



Entry 3:
NaCaAlSi2O7: relaxed, GGA-PBE.

Its total energy is -173.76 eV/cell. The energy above the most stable polymorph in this dataset comes out at 0.000 eV/atom. As for the magnetic moment: 0.00 μB per formula unit.

The space group is P2_1 (No. 4) and the conventional cell measures 5.113, 7.710 and 7.723 Å, with angles of 90.00, 91.29 and 90.00 degrees. Symmetry generates all atoms from Na at (0.012, 0.000, 0.420), Ca at (0.019, 0.322, 0.099), Al at (0.498, 0.162, 0.750), Si at (0.452, 0.806, 0.611), Si at (0.453, 0.521, 0.896), O at (0.233, 0.023, 0.087), O at (0.234, 0.312, 0.373), O at (0.301, 0.580, 0.075), O at (0.305, 0.987, 0.673), O at (0.317, 0.333, 0.846), O at (0.326, 0.753, 0.421) and O at (0.328, 0.660, 0.750).



Entry 4:
CsLaMgNb2O7: relaxed, GGA-PBE.

Its total energy is -90.90 eV/cell. The energy above the most stable polymorph in this dataset comes out at 0.000 eV/atom. As for the magnetic moment: 0.00 μB per formula unit.

The space group is P4mm (No. 99) and the conventional cell measures 4.095, 4.095 and 12.177 Å, with angles of 90.00, 90.00 and 90.00 degrees. Symmetry generates all atoms from Cs at (0.000, 0.000, 0.000), La at (0.000, 0.000, 0.399), Mg at (0.000, 0.000, 0.686), Nb at (0.500, 0.500, 0.247), Nb at (0.500, 0.500, 0.608), O at (0.000, 0.500, 0.280), O at (0.000, 0.500, 0.599), O at (0.500, 0.500, 0.097), O at (0.500, 0.500, 0.432) and O at (0.500, 0.500, 0.762).



Entry 5:
Hf9Mo4S: relaxed, GGA-PBE.

Its total energy is -282.49 eV/cell. As for the magnetic moment: 0.00 μB per formula unit.

The space group is P6_3/mmc (No. 194) and the conventional cell measures 8.6835, 8.6835 and 8.5301 Å, with angles of 90.00, 90.00 and 120.00 degrees. Symmetry generates all atoms from Hf at (0.0849, 0.5424, 0.2500), Hf at (0.1972, 0.3944, 0.5506), Mo at (0.0000, 0.0000, 0.0000), Mo at (0.1109, 0.2217, 0.2500) and S at (0.3333, 0.6667, 0.7500).



Entry 6:
Ba3UAgS6: relaxed, GGA-PBE.

Its total energy is -375.82 eV/cell. As for the magnetic moment: 1.01 μB per formula unit.

The space group is R-3c (No. 167, hexagonal axes) and the conventional cell measures 12.3273, 12.3273 and 14.0434 Å, with angles of 90.00, 90.00 and 120.00 degrees. Symmetry generates all atoms from Ba at (0.0000, 0.3745, 0.2500), U at (0.0000, 0.0000, 0.0000), Ag at (0.0000, 0.0000, 0.2500) and S at (0.0260, 0.1837, 0.3906).



Copy entry 2 word for word.
Ti3H2O7: relaxed, GGA-PBE.

Its total energy is -379.13 eV/cell. The energy above the most stable polymorph in this dataset comes out at 0.036 eV/atom. As for the magnetic moment: 0.02 μB per formula unit.

The space group is C2/m (No. 12) and the conventional cell measures 16.740, 3.778 and 9.507 Å, with angles of 90.00, 100.28 and 90.00 degrees. Symmetry generates all atoms from Ti at (0.127, 0.000, 0.340), Ti at (0.177, 0.000, 0.007), Ti at (0.231, 0.000, 0.711), H at (0.028, 0.000, 0.095), H at (0.037, 0.000, 0.694), O at (0.022, 0.000, 0.345), O at (0.087, 0.000, 0.106), O at (0.139, 0.000, 0.820), O at (0.155, 0.500, 0.325), O at (0.175, 0.000, 0.537), O at (0.208, 0.500, 0.040) and O at (0.239, 0.000, 0.248).